## NaSm9Si6S2O24 (GGA-PBE)

Data for an optimized crystal structure of NaSm9Si6S2O24.

Properties
symmetry = P3, No. 143
energy relative to the elements = -81.512 kcal/mol of atoms

a b c (Å): 9.8919 9.8919 6.7719
angles (deg): 90.00 90.00 120.00
Last column: nearest neighbours and their distance in Å.
Positions (direct):
Na 0.3333 0.6667 0.4934  6 O 2.46-2.56
Sm 0.0000 0.0000 0.9963  6 O 2.36-2.45
Sm 0.0000 0.0000 0.5032  6 O 2.36-2.45
Sm 0.3333 0.6667 0.0079  6 O 2.35-2.48
Sm 0.4142 0.3219 0.2508  5 O 2.33-2.53
Sm 0.9077 0.5858 0.2508  5 O 2.33-2.53
Sm 0.6781 0.0923 0.2508  5 O 2.33-2.53
Sm 0.9215 0.3526 0.7478  5 O 2.31-2.50
Sm 0.4311 0.0785 0.7478  5 O 2.31-2.50
Sm 0.6474 0.5689 0.7478  5 O 2.31-2.50
Si 0.2564 0.9547 0.2471  4 O 1.61-1.67
Si 0.6983 0.7436 0.2471  4 O 1.61-1.67
Si 0.0453 0.3017 0.2471  4 O 1.61-1.67
Si 0.0803 0.7165 0.7507  4 O 1.64-1.66
Si 0.6363 0.9197 0.7507  4 O 1.64-1.66
Si 0.2835 0.3637 0.7507  4 O 1.64-1.66
S 0.6667 0.3333 0.4923  6 Sm 2.94-2.98, 6 O 3.11-3.23
S 0.6667 0.3333 0.0010  6 Sm 2.97-2.98, 6 O 3.21-3.22, 1 S 3.33
O 0.0616 0.8617 0.2499  1 Si 1.67
O 0.8001 0.9384 0.2499  1 Si 1.67
O 0.1383 0.1999 0.2499  1 Si 1.67
O 0.2715 0.8111 0.7592  1 Si 1.64
O 0.5397 0.7285 0.7592  1 Si 1.64
O 0.1889 0.4603 0.7592  1 Si 1.64
O 0.3311 0.8431 0.2395  1 Si 1.61
O 0.5120 0.6689 0.2395  1 Si 1.61
O 0.1569 0.4880 0.2395  1 Si 1.61
O 0.0116 0.8370 0.7498  1 Si 1.64
O 0.8254 0.9884 0.7498  1 Si 1.64
O 0.1630 0.1746 0.7498  1 Si 1.64
O 0.3044 0.0692 0.4436  1 Si 1.66
O 0.7648 0.6956 0.4436  1 Si 1.66
O 0.9308 0.2352 0.4436  1 Si 1.66
O 0.0246 0.5986 0.9443  1 Si 1.66
O 0.5739 0.9754 0.9443  1 Si 1.66
O 0.4014 0.4261 0.9443  1 Si 1.66
O 0.0104 0.5948 0.5640  1 Si 1.64
O 0.5844 0.9896 0.5640  1 Si 1.64
O 0.4052 0.4156 0.5640  1 Si 1.64
O 0.3037 0.0741 0.0553  1 Si 1.66
O 0.7704 0.6963 0.0553  1 Si 1.66
O 0.9259 0.2296 0.0553  1 Si 1.66